[1]
Density functional theory data (GGA+U) for a relaxed structure of K3WS3ClO.

- M_tot (μB per cell) = 0.00
- formation energy from the elements (eV/atom) = -1.441

Cell lengths 12.733, 6.435, 12.584 Å; angles 90.00, 90.00, 90.00 degrees
Space group Pca2_1 (No. 29)
Symmetry-distinct sites (fractional):
K 0.020 0.085 0.000 x4
K 0.204 0.461 0.503 x4
K 0.235 0.897 0.261 x4
W 0.006 0.497 0.751 x4
S 0.005 0.157 0.270 x4
S 0.049 0.587 0.088 x4
S 0.173 0.399 0.771 x4
Cl 0.232 0.975 0.513 x4
O 0.075 0.632 0.348 x4

=====

[2]
Density functional theory data (GGA+U) for a relaxed structure of CoTePb2O6.

- M_tot (μB per cell) = 0.00
- energy above the most stable polymorph in this dataset (meV/atom) = 1
- formation energy from the elements (eV/atom) = -1.477

Cell lengths 5.727, 9.957, 9.977 Å; angles 79.21, 73.34, 89.99 degrees
Space group P1 (No. 1)
Symmetry-distinct sites (fractional):
Co 0.000 0.000 0.000 x1
Co 0.250 0.750 0.499 x1
Co 0.501 0.500 0.999 x1
Co 0.750 0.250 0.500 x1
Te 0.126 0.375 0.749 x1
Te 0.375 0.125 0.250 x1
Te 0.625 0.876 0.750 x1
Te 0.876 0.625 0.249 x1
Pb 0.061 0.691 0.877 x1
Pb 0.190 0.059 0.621 x1
Pb 0.310 0.441 0.379 x1
Pb 0.440 0.810 0.121 x1
Pb 0.560 0.191 0.880 x1
Pb 0.689 0.560 0.620 x1
Pb 0.811 0.941 0.379 x1
Pb 0.940 0.310 0.121 x1
O 0.050 0.657 0.385 x1
O 0.064 0.158 0.385 x1
O 0.080 0.182 0.839 x1
O 0.171 0.570 0.658 x1
O 0.185 0.591 0.113 x1
O 0.201 0.091 0.115 x1
O 0.299 0.409 0.885 x1
O 0.316 0.909 0.886 x1
O 0.329 0.930 0.341 x1
O 0.421 0.319 0.159 x1
O 0.436 0.343 0.614 x1
O 0.449 0.843 0.615 x1
O 0.548 0.158 0.386 x1
O 0.566 0.657 0.385 x1
O 0.580 0.682 0.840 x1
O 0.670 0.070 0.660 x1
O 0.684 0.091 0.115 x1
O 0.703 0.592 0.113 x1
O 0.798 0.909 0.886 x1
O 0.816 0.410 0.884 x1
O 0.831 0.430 0.339 x1
O 0.920 0.819 0.160 x1
O 0.934 0.842 0.615 x1
O 0.953 0.343 0.613 x1

=====

[3]
Density functional theory data (GGA+U) for a relaxed structure of LiV2O4.

- M_tot (μB per cell) = 3.00
- energy above the most stable polymorph in this dataset (meV/atom) = 81
- formation energy from the elements (eV/atom) = -2.427

Cell lengths 5.036, 3.021, 5.282 Å; angles 90.00, 109.06, 90.00 degrees
Space group P2/m (No. 10)
Symmetry-distinct sites (fractional):
Li 0.000 0.000 0.000 x1
V 0.000 0.500 0.500 x1
V 0.500 0.000 0.500 x1
O 0.246 0.000 0.703 x2
O 0.264 0.500 0.281 x2

=====

[4]
Density functional theory data (GGA+U) for a relaxed structure of Sm4FeSe6O.

- M_tot (μB per cell) = 8.00
- formation energy from the elements (eV/atom) = -1.864
- maximum piezoelectric response (C/m²) = 0.3

Cell lengths 9.5572, 9.5572, 6.9718 Å; angles 90.00, 90.00, 120.00 degrees
Space group P6_3mc (No. 186)
Symmetry-distinct sites (fractional):
Sm 0.2007 0.4015 0.0000 x6
Sm 0.3333 0.6667 0.5490 x2
Fe 0.0000 0.0000 0.3371 x2
Se 0.0627 0.5313 0.2863 x6
Se 0.1262 0.2523 0.6073 x6
O 0.3333 0.6667 0.8818 x2

=====

[5]
Density functional theory data (GGA+U) for a relaxed structure of KLiW4O12.

- M_tot (μB per cell) = 2.00
- formation energy from the elements (eV/atom) = -2.163

Cell lengths 5.540, 5.540, 7.837 Å; angles 90.00, 90.00, 90.00 degrees
Space group P4/mmm (No. 123)
Symmetry-distinct sites (fractional):
K 0.000 0.000 0.000 x1
Li 0.500 0.500 0.500 x1
W 0.000 0.500 0.251 x4
O 0.000 0.500 0.000 x2
O 0.000 0.500 0.500 x2
O 0.253 0.253 0.254 x8

=====

[6]
Density functional theory data (GGA+U) for a relaxed structure of Fe4O5F3.

- M_tot (μB per cell) = 10.00
- energy above the most stable polymorph in this dataset (meV/atom) = 0
- formation energy from the elements (eV/atom) = -1.871

Cell lengths 4.744, 6.060, 9.474 Å; angles 89.80, 85.83, 89.77 degrees
Space group P1 (No. 1)
Symmetry-distinct sites (fractional):
Fe 0.000 0.000 0.000 x1
Fe 0.005 0.507 0.513 x1
Fe 0.017 0.992 0.509 x1
Fe 0.454 0.753 0.238 x1
Fe 0.485 0.758 0.734 x1
Fe 0.500 0.250 0.259 x1
Fe 0.552 0.240 0.768 x1
Fe 0.974 0.501 0.013 x1
O 0.166 0.752 0.094 x1
O 0.197 0.748 0.596 x1
O 0.300 0.493 0.351 x1
O 0.305 0.000 0.852 x1
O 0.306 0.008 0.349 x1
O 0.677 0.496 0.161 x1
O 0.687 0.005 0.155 x1
O 0.696 0.496 0.660 x1
O 0.707 0.002 0.654 x1
O 0.820 0.249 0.915 x1
F 0.194 0.254 0.103 x1
F 0.198 0.250 0.603 x1
F 0.298 0.499 0.856 x1
F 0.791 0.745 0.904 x1
F 0.810 0.751 0.407 x1
F 0.813 0.250 0.411 x1

=====

[7]
Density functional theory data (GGA+U) for a relaxed structure of Zn2SbWO6.

- M_tot (μB per cell) = 0.01
- energy above the most stable polymorph in this dataset (meV/atom) = 112
- formation energy from the elements (eV/atom) = -1.655

Cell lengths 5.188, 5.673, 6.151 Å; angles 81.20, 79.57, 68.80 degrees
Space group P1 (No. 1)
Symmetry-distinct sites (fractional):
Zn 0.000 0.000 0.000 x1
Zn 0.288 0.688 0.518 x1
Sb 0.201 0.366 0.114 x1
W 0.717 0.077 0.501 x1
O 0.124 0.716 0.244 x1
O 0.443 0.330 0.644 x1
O 0.563 0.829 0.538 x1
O 0.600 0.184 0.192 x1
O 0.955 0.894 0.725 x1
O 0.995 0.244 0.390 x1

=====

[8]
Density functional theory data (GGA+U) for a relaxed structure of MgMnF6.

- formation energy from the elements (eV/atom) = -3.017

Cell lengths 5.2205, 5.2205, 13.3066 Å; angles 90.00, 90.00, 120.00 degrees
Space group R-3 (No. 148, hexagonal axes)
Symmetry-distinct sites (fractional):
Mg 0.0000 0.0000 0.0000 x3
Mn 0.0000 0.0000 0.5000 x3
F 0.0163 0.4217 0.2466 x18

=====

[9]
Density functional theory data (GGA+U) for a relaxed structure of MgTi3Fe2CoP6O24.

- M_tot (μB per cell) = 9.74
- energy above the most stable polymorph in this dataset (meV/atom) = 10
- formation energy from the elements (eV/atom) = -2.685

Cell lengths 8.485, 8.628, 8.633 Å; angles 61.32, 61.94, 61.52 degrees
Space group P1 (No. 1)
Symmetry-distinct sites (fractional):
Mg 0.000 0.000 0.000 x1
Ti 0.110 0.498 0.708 x1
Ti 0.405 0.775 0.011 x1
Ti 0.895 0.285 0.496 x1
Fe 0.261 0.620 0.857 x1
Fe 0.738 0.139 0.369 x1
Co 0.605 0.986 0.209 x1
P 0.004 0.680 0.312 x1
P 0.195 0.182 0.107 x1
P 0.295 0.097 0.605 x1
P 0.504 0.594 0.408 x1
P 0.714 0.396 0.891 x1
P 0.814 0.893 0.811 x1
O 0.000 0.204 0.267 x1
O 0.004 0.731 0.781 x1
O 0.079 0.634 0.464 x1
O 0.142 0.141 0.529 x1
O 0.156 0.704 0.112 x1
O 0.181 0.378 0.949 x1
O 0.206 0.033 0.044 x1
O 0.238 0.253 0.680 x1
O 0.284 0.911 0.779 x1
O 0.346 0.568 0.601 x1
O 0.363 0.126 0.162 x1
O 0.431 0.642 0.250 x1
O 0.493 0.077 0.462 x1
O 0.512 0.541 0.925 x1
O 0.570 0.743 0.376 x1
O 0.639 0.839 0.879 x1
O 0.659 0.398 0.418 x1
O 0.739 0.222 0.071 x1
O 0.755 0.332 0.734 x1
O 0.813 0.052 0.620 x1
O 0.814 0.952 0.954 x1
O 0.858 0.882 0.285 x1
O 0.861 0.483 0.838 x1
O 0.936 0.526 0.351 x1

=====

[10]
Density functional theory data (GGA+U) for a relaxed structure of Fe2Te4BrClO10.

- M_tot (μB per cell) = 40.02
- energy above the most stable polymorph in this dataset (meV/atom) = 0
- formation energy from the elements (eV/atom) = -1.416

Cell lengths 13.512, 6.693, 14.497 Å; angles 90.00, 107.70, 90.00 degrees
Space group P2_1/c (No. 14)
Symmetry-distinct sites (fractional):
Fe 0.065 0.208 0.144 x4
Fe 0.117 0.503 0.979 x4
Te 0.109 0.692 0.214 x4
Te 0.198 0.518 0.519 x4
Te 0.280 0.206 0.359 x4
Te 0.365 0.035 0.638 x4
Br 0.385 0.651 0.780 x4
Cl 0.435 0.699 0.049 x4
O 0.013 0.249 0.254 x4
O 0.039 0.514 0.102 x4
O 0.088 0.700 0.448 x4
O 0.100 0.575 0.637 x4
O 0.114 0.213 0.020 x4
O 0.185 0.017 0.378 x4
O 0.212 0.230 0.726 x4
O 0.214 0.049 0.891 x4
O 0.232 0.592 0.091 x4
O 0.337 0.240 0.544 x4

=====

[11]
Density functional theory data (GGA+U) for a relaxed structure of Li4Ni8O9F7.

- M_tot (μB per cell) = 11.00
- formation energy from the elements (eV/atom) = -1.779

Cell lengths 5.631, 5.911, 10.357 Å; angles 74.33, 74.27, 61.95 degrees
Space group P1 (No. 1)
Symmetry-distinct sites (fractional):
Li 0.000 0.000 0.000 x1
Li 0.091 0.223 0.601 x1
Li 0.495 0.504 0.500 x1
Li 0.617 0.704 0.105 x1
Ni 0.043 0.121 0.294 x1
Ni 0.046 0.610 0.800 x1
Ni 0.048 0.603 0.298 x1
Ni 0.291 0.365 0.053 x1
Ni 0.545 0.111 0.801 x1
Ni 0.547 0.610 0.800 x1
Ni 0.549 0.109 0.299 x1
Ni 0.795 0.862 0.549 x1
O 0.183 0.253 0.393 x1
O 0.202 0.687 0.914 x1
O 0.393 0.030 0.187 x1
O 0.409 0.477 0.705 x1
O 0.684 0.744 0.896 x1
O 0.705 0.185 0.412 x1
O 0.889 0.538 0.686 x1
O 0.915 0.961 0.206 x1
O 0.946 0.488 0.182 x1
F 0.168 0.714 0.424 x1
F 0.179 0.221 0.929 x1
F 0.420 0.002 0.669 x1
F 0.431 0.489 0.174 x1
F 0.668 0.225 0.931 x1
F 0.676 0.724 0.430 x1
F 0.911 0.004 0.669 x1

=====

[12]
Density functional theory data (GGA+U) for a relaxed structure of MgCrCo3O8.

- M_tot (μB per cell) = 13.61
- energy above the most stable polymorph in this dataset (meV/atom) = 86
- formation energy from the elements (eV/atom) = -1.536

Cell lengths 10.053, 5.816, 5.842 Å; angles 90.00, 124.74, 90.00 degrees
Space group C2/m (No. 12)
Symmetry-distinct sites (fractional):
Mg 0.000 0.000 0.000 x2
Cr 0.000 0.500 0.000 x2
Co 0.000 0.500 0.500 x2
Co 0.250 0.250 0.500 x4
O 0.023 0.263 0.268 x8
O 0.242 0.500 0.285 x4
O 0.248 0.500 0.715 x4